[1]
DFT (PBE-GGA) results for a geometry-optimized NaInTe2 structure.

a b c (Å): 6.980 6.980 6.980
angles (deg): 105.79 105.79 117.12
Element x y z (fractional)
Na: 0.250 0.250 0.000
Na: 0.750 0.750 0.000
In: 0.750 0.250 0.500
In: 0.250 0.750 0.500
Te: 0.185 0.685 0.869
Te: 0.685 0.815 0.500
Te: 0.315 0.185 0.500
Te: 0.815 0.315 0.131

For the formation energy from the elements, the calculation gives -0.781 eV per atom. The space group is I4/mcm. The value obtained for the theoretical density is 5.1 Mg/m³.


[2]
DFT (PBE-GGA) results for a geometry-optimized FeAg2Sn3S8 structure.

a b c (Å): 7.472 7.472 7.472
angles (deg): 60.78 60.78 60.78
Element x y z (fractional)
Fe: 0.000 0.000 0.000
Ag: 0.384 0.384 0.384
Ag: 0.616 0.616 0.616
Sn: 0.000 0.500 0.000
Sn: 0.000 0.000 0.500
Sn: 0.500 0.000 0.000
S: 0.780 0.207 0.780
S: 0.754 0.754 0.754
S: 0.793 0.220 0.220
S: 0.220 0.220 0.793
S: 0.220 0.793 0.220
S: 0.246 0.246 0.246
S: 0.207 0.780 0.780
S: 0.780 0.780 0.207

For the formation energy from the elements, the calculation gives -0.641 eV per atom. The space group is R-3m. The value obtained for the theoretical density is 4.9 Mg/m³. The value obtained for the size of the total moment is 0.0 Bohr magnetons per cell.


[3]
DFT (PBE-GGA) results for a geometry-optimized Si3Ge structure.

a b c (Å): 4.479 4.479 4.479
angles (deg): 60.00 60.00 60.00
Element x y z (fractional)
Si: 0.250 0.250 0.250
Si: 0.750 0.750 0.750
Si: 0.500 0.500 0.500
Ge: 0.000 0.000 0.000

For the formation energy from the elements, the calculation gives 0.528 eV per atom. The space group is Fm-3m. The value obtained for the theoretical density is 4.1 Mg/m³. The value obtained for the size of the total moment is 0.0 Bohr magnetons per cell.